This record from Materials Project describes a relaxed structure of Pr2VFeO6. The functional is GGA+U.

Values from the calculation:
Total magnetization (μB/f.u.): 7.000
Energy relative to the elements (eV per formula unit): -29.903
Energy with MP2020 corrections (Ry/atom): -0.6373
VASP energy (eV/atom): -7.863
Volume (Å³ per cell): 249.2
Symmetry: P2_1/c (14)

Cell lengths 5.6861, 5.5272, 9.6615 Å; angles 55.14, 90.00, 90.00 degrees
Fractional coordinates of all 20 atoms:
1 Pr 0.5541 0.7374 0.7498
2 Pr 0.0541 0.2626 0.7502
3 Pr 0.4459 0.2626 0.2502
4 Pr 0.9459 0.7374 0.2498
5 V 0.0000 0.0000 0.5000
6 V 0.5000 0.0000 0.0000
7 Fe 0.0000 0.5000 0.0000
8 Fe 0.5000 0.5000 0.5000
9 O 0.9751 0.8382 0.7516
10 O 0.4751 0.1618 0.7484
11 O 0.0249 0.1618 0.2484
12 O 0.5249 0.8382 0.2516
13 O 0.7925 0.2508 0.9532
14 O 0.2925 0.7492 0.5468
15 O 0.2077 0.3450 0.4527
16 O 0.7077 0.6550 0.0473
17 O 0.2075 0.7492 0.0468
18 O 0.7075 0.2508 0.4532
19 O 0.7923 0.6550 0.5473
20 O 0.2923 0.3450 0.9527


This record from Materials Project describes a relaxed structure of MgTiFeO4. The functional is GGA+U.

Values from the calculation:
ΔE to the lowest computed polymorph (eV per formula unit): 0.94
Total magnetization (μB/f.u.): 4.002
Energy relative to the elements (eV per formula unit): -18.367
Energy with MP2020 corrections (Ry/atom): -0.5893
VASP energy (eV/atom): -7.303
Volume (Å³ per cell): 79.0
Symmetry: Imm2 (44)

Cell lengths 5.5739, 5.5739, 5.5739 Å; angles 139.06, 135.17, 62.31 degrees
Fractional coordinates of all 7 atoms:
1 Mg 0.3286 0.8286 0.5000
2 Ti 0.7396 0.2396 0.5000
3 Fe 0.0166 0.0166 0.0000
4 O 0.5386 0.0386 0.5000
5 O 0.2423 0.2423 0.0000
6 O 0.9422 0.4422 0.5000
7 O 0.7635 0.7635 0.0000


This record from Materials Project describes a relaxed structure of LiV2P3O12. The functional is GGA+U.

Values from the calculation:
ΔE to the lowest computed polymorph (eV per formula unit): 0.21
Total magnetization (μB/f.u.): 2.000
Energy relative to the elements (eV per formula unit): -47.586
Energy with MP2020 corrections (Ry/atom): -0.5850
VASP energy (eV/atom): -7.313
Volume (Å³ per cell): 451.0
Symmetry: P-1 (2)

Cell lengths 8.4301, 8.4691, 8.7373 Å; angles 90.57, 118.45, 119.71 degrees
Fractional coordinates of all 36 atoms:
1 Li 0.3541 0.8182 0.5833
2 Li 0.6459 0.1818 0.4167
3 V 0.7945 0.1434 0.9290
4 V 0.7886 0.6448 0.4297
5 V 0.2114 0.3552 0.5703
6 V 0.2055 0.8566 0.0710
7 P 0.0032 0.5376 0.2524
8 P 0.7178 0.7460 0.7543
9 P 0.2795 0.0262 0.7471
10 P 0.7205 0.9738 0.2529
11 P 0.2822 0.2540 0.2457
12 P 0.9968 0.4624 0.7476
13 O 0.6604 0.8941 0.7521
14 O 0.1711 0.5347 0.4342
15 O 0.8893 0.3727 0.0833
16 O 0.1479 0.7353 0.2401
17 O 0.4976 0.0804 0.7741
18 O 0.9203 0.8024 0.9443
19 O 0.8253 0.5319 0.2678
20 O 0.5225 0.5464 0.7129
21 O 0.2297 0.2506 0.3933
22 O 0.1104 0.8327 0.5851
23 O 0.2798 0.9992 0.9209
24 O 0.2392 0.1822 0.7002
25 O 0.7608 0.8178 0.2998
26 O 0.7202 0.0008 0.0791
27 O 0.8896 0.1673 0.4149
28 O 0.7703 0.7494 0.6067
29 O 0.4775 0.4536 0.2871
30 O 0.1747 0.4681 0.7322
31 O 0.0797 0.1976 0.0557
32 O 0.5024 0.9196 0.2259
33 O 0.8521 0.2647 0.7599
34 O 0.1107 0.6273 0.9167
35 O 0.8289 0.4653 0.5658
36 O 0.3396 0.1059 0.2479


This record from Materials Project describes a relaxed structure of Na3Mg4CrSi8O22F2. The functional is GGA+U.

Values from the calculation:
ΔE to the lowest computed polymorph (eV per formula unit): 22.28
Total magnetization (μB/f.u.): 3.000
Energy relative to the elements (eV per formula unit): -103.388
Energy with MP2020 corrections (Ry/atom): -0.5136
VASP energy (eV/atom): -6.659
Volume (Å³ per cell): 957.0
Symmetry: P-1 (2)

Cell lengths 8.1498, 8.6844, 15.4414 Å; angles 102.30, 86.47, 116.25 degrees
Fractional coordinates of all 80 atoms:
1 Na 0.8721 0.2449 0.2762
2 Na 0.3749 0.0530 0.4744
3 Na 0.6251 0.9470 0.5256
4 Na 0.1279 0.7551 0.7238
5 Na 0.4651 0.8276 0.0371
6 Na 0.5349 0.1724 0.9629
7 Mg 0.9635 0.6114 0.0812
8 Mg 0.0277 0.7159 0.4761
9 Mg 0.9723 0.2841 0.5239
10 Mg 0.0365 0.3886 0.9188
11 Mg 0.4459 0.5056 0.7686
12 Mg 0.2805 0.3605 0.0873
13 Mg 0.7195 0.6395 0.9127
14 Mg 0.5541 0.4944 0.2314
15 Cr 0.5240 0.8571 0.2500
16 Cr 0.4760 0.1429 0.7500
17 Si 0.2910 0.0720 0.1736
18 Si 0.8589 0.8859 0.1071
19 Si 0.0787 0.0148 0.6403
20 Si 0.6906 0.6924 0.6286
21 Si 0.3094 0.3076 0.3714
22 Si 0.9213 0.9852 0.3597
23 Si 0.1411 0.1141 0.8929
24 Si 0.7090 0.9280 0.8264
25 Si 0.3162 0.5678 0.5430
26 Si 0.6740 0.3554 0.6422
27 Si 0.9270 0.6270 0.3089
28 Si 0.8113 0.2442 0.1044
29 Si 0.1887 0.7558 0.8956
30 Si 0.0730 0.3730 0.6911
31 Si 0.3260 0.6446 0.3578
32 Si 0.6838 0.4322 0.4570
33 O 0.4859 0.2831 0.4145
34 O 0.8489 0.0744 0.4439
35 O 0.3745 0.6114 0.2453
36 O 0.1450 0.0941 0.3576
37 O 0.5271 0.1402 0.6243
38 O 0.8463 0.5786 0.2095
39 O 0.2425 0.3647 0.4861
40 O 0.7572 0.3479 0.5240
41 O 0.5474 0.4669 0.6253
42 O 0.3714 0.9330 0.1833
43 O 0.1850 0.5341 0.6328
44 O 0.8150 0.4659 0.3672
45 O 0.7575 0.6353 0.5139
46 O 0.6286 0.0670 0.8167
47 O 0.4526 0.5331 0.3747
48 O 0.2428 0.6521 0.4760
49 O 0.1537 0.4214 0.7905
50 O 0.4729 0.8598 0.3757
51 O 0.8550 0.9059 0.6424
52 O 0.6255 0.3886 0.7547
53 O 0.1511 0.9256 0.5561
54 O 0.5141 0.7169 0.5855
55 O 0.6370 0.7443 0.7443
56 O 0.3803 0.2482 0.8709
57 O 0.2027 0.0404 0.7287
58 O 0.1561 0.6543 0.9816
59 O 0.5545 0.5544 0.1060
60 O 0.8667 0.3237 0.6621
61 O 0.3562 0.1712 0.0899
62 O 0.8613 0.7356 0.0249
63 O 0.8329 0.0494 0.0861
64 O 0.1095 0.2127 0.6304
65 O 0.0585 0.9468 0.1595
66 O 0.9415 0.0532 0.8405
67 O 0.6438 0.8288 0.9101
68 O 0.8905 0.7873 0.3696
69 O 0.1671 0.9506 0.9139
70 O 0.1387 0.2644 0.9751
71 O 0.1333 0.6763 0.3379
72 O 0.4455 0.4456 0.8940
73 O 0.8439 0.3457 0.0184
74 O 0.7973 0.9596 0.2713
75 O 0.6197 0.7518 0.1291
76 O 0.3630 0.2557 0.2557
77 F 0.1378 0.3760 0.3380
78 F 0.8622 0.6240 0.6620
79 F 0.9435 0.6238 0.8545
80 F 0.0565 0.3762 0.1455


This record from Materials Project describes a relaxed structure of Na4MgCo2O6. The functional is GGA+U.

Values from the calculation:
ΔE to the lowest computed polymorph (eV per formula unit): 1.88
Total magnetization (μB/f.u.): 8.000
Energy relative to the elements (eV per formula unit): -20.260
Energy with MP2020 corrections (Ry/atom): -0.4017
VASP energy (eV/atom): -4.897
Volume (Å³ per cell): 158.7
Symmetry: P-1 (2)

Cell lengths 6.4669, 5.5440, 5.7926 Å; angles 75.18, 95.93, 56.12 degrees
Fractional coordinates of all 13 atoms:
1 Na 0.9775 0.2931 0.4742
2 Na 0.0225 0.7069 0.5258
3 Na 0.5000 0.5000 0.5000
4 Na 0.0000 0.0000 0.0000
5 Mg 0.5000 0.0000 0.5000
6 Co 0.5956 0.6821 0.9760
7 Co 0.4044 0.3179 0.0240
8 O 0.2799 0.7634 0.7744
9 O 0.2095 0.4381 0.2427
10 O 0.5451 0.8332 0.2334
11 O 0.7905 0.5619 0.7573
12 O 0.4549 0.1668 0.7666
13 O 0.7201 0.2366 0.2256


This record from Materials Project describes a relaxed structure of NiH12SO10. The functional is GGA+U.

Values from the calculation:
Total magnetization (μB/f.u.): 2.000
Energy relative to the elements (eV per formula unit): -33.473
Energy with MP2020 corrections (Ry/atom): -0.4091
VASP energy (eV/atom): -5.174
Volume (Å³ per cell): 856.9
Symmetry: P4_12_12 (92)

Cell lengths 6.8174, 6.8174, 18.4376 Å; angles 90.00, 90.00, 90.00 degrees
Fractional coordinates of all 96 atoms:
1 Ni 0.2883 0.7117 0.2500
2 Ni 0.7883 0.7883 0.5000
3 Ni 0.7117 0.2883 0.7500
4 Ni 0.2117 0.2117 0.0000
5 H 0.4282 0.8554 0.5443
6 H 0.1446 0.5718 0.9557
7 H 0.5073 0.9688 0.1834
8 H 0.5782 0.6490 0.7083
9 H 0.6490 0.5782 0.2917
10 H 0.7258 0.0131 0.3825
11 H 0.5824 0.7548 0.3460
12 H 0.2258 0.4869 0.3675
13 H 0.0718 0.3554 0.7057
14 H 0.5363 0.3761 0.0584
15 H 0.4176 0.2452 0.8460
16 H 0.0312 0.4927 0.3166
17 H 0.7742 0.5131 0.8675
18 H 0.4869 0.2258 0.6325
19 H 0.0824 0.7452 0.4040
20 H 0.5312 0.0073 0.4334
21 H 0.0073 0.5312 0.5666
22 H 0.2547 0.9176 0.0960
23 H 0.9637 0.8761 0.1916
24 H 0.1490 0.9218 0.4583
25 H 0.5718 0.1446 0.0443
26 H 0.4637 0.6239 0.5584
27 H 0.3510 0.4218 0.7917
28 H 0.5131 0.7742 0.1325
29 H 0.0131 0.7258 0.6175
30 H 0.9282 0.6446 0.2057
31 H 0.7452 0.0824 0.5960
32 H 0.8510 0.0782 0.9583
33 H 0.3761 0.5363 0.9416
34 H 0.6239 0.4637 0.4416
35 H 0.3554 0.0718 0.2943
36 H 0.0363 0.1239 0.6916
37 H 0.4927 0.0312 0.6834
38 H 0.2742 0.9869 0.8825
39 H 0.4218 0.3510 0.2083
40 H 0.8554 0.4282 0.4557
41 H 0.9688 0.5073 0.8166
42 H 0.4688 0.9927 0.9334
43 H 0.8761 0.9637 0.8084
44 H 0.2452 0.4176 0.1540
45 H 0.1239 0.0363 0.3084
46 H 0.6446 0.9282 0.7943
47 H 0.7548 0.5824 0.6540
48 H 0.9869 0.2742 0.1175
49 H 0.9218 0.1490 0.5417
50 H 0.9176 0.2547 0.9040
51 H 0.0782 0.8510 0.0417
52 H 0.9927 0.4688 0.0666
53 S 0.7079 0.7079 0.0000
54 S 0.2921 0.2921 0.5000
55 S 0.2079 0.7921 0.7500
56 S 0.7921 0.2079 0.2500
57 O 0.2554 0.9735 0.3068
58 O 0.8594 0.4281 0.8365
59 O 0.1793 0.9513 0.0519
60 O 0.8886 0.1257 0.1840
61 O 0.1406 0.5719 0.3365
62 O 0.1718 0.5755 0.7548
63 O 0.4281 0.8594 0.1635
64 O 0.3743 0.3886 0.4340
65 O 0.4245 0.8282 0.7452
66 O 0.6257 0.6114 0.9340
67 O 0.5265 0.7554 0.5568
68 O 0.4735 0.2446 0.0568
69 O 0.6718 0.9245 0.9952
70 O 0.9513 0.1793 0.9481
71 O 0.7554 0.5265 0.4432
72 O 0.6114 0.6257 0.0660
73 O 0.0755 0.3282 0.5048
74 O 0.5755 0.1718 0.2452
75 O 0.0487 0.8207 0.4481
76 O 0.3207 0.4513 0.1981
77 O 0.0265 0.7446 0.1932
78 O 0.6406 0.9281 0.4135
79 O 0.9735 0.2554 0.6932
80 O 0.8743 0.1114 0.3160
81 O 0.3594 0.0719 0.9135
82 O 0.2446 0.4735 0.9432
83 O 0.1257 0.8886 0.8160
84 O 0.9245 0.6718 0.0048
85 O 0.7446 0.0265 0.8068
86 O 0.1114 0.8743 0.6840
87 O 0.5719 0.1406 0.6635
88 O 0.5487 0.6793 0.3019
89 O 0.3886 0.3743 0.5660
90 O 0.8282 0.4245 0.2548
91 O 0.9281 0.6406 0.5865
92 O 0.8207 0.0487 0.5519
93 O 0.4513 0.3207 0.8019
94 O 0.3282 0.0755 0.4952
95 O 0.6793 0.5487 0.6981
96 O 0.0719 0.3594 0.0865